1.
A relaxed Fe4CoSiB2 crystal, computed with PBE.

extended XYZ file:
```
16
Lattice="5.475 0.000 0.000 0.000 5.475 0.000 -2.738 -2.738 5.145" Properties=species:S:1:pos:R:3 pbc="T T T"
B 2.075 4.813 0.000
B 0.663 2.075 0.000
B 3.400 0.663 0.000
B 4.813 3.400 0.000
Fe 0.909 1.829 3.736
Fe 3.647 4.566 1.409
Fe 1.829 -0.909 3.736
Fe 1.829 0.909 1.409
Fe -1.829 0.909 3.736
Fe 4.566 1.829 1.409
Fe 0.909 3.647 1.409
Fe -0.909 -1.829 3.736
Co 0.000 0.000 0.000
Co 2.738 2.738 0.000
Si 0.000 0.000 2.573
Si 2.738 2.738 2.573
```

Summary:
**DFT formation energy**: -338 meV/atom
**Density**: 7.1 Mg/m³
**Magnetization**: 7.1 μB per formula unit
**SG**: I4/mcm

2.
A relaxed SmFe2Co2B crystal, computed with PBE.

extended XYZ file:
```
12
Lattice="3.579 0.390 3.620 4.936 -0.777 -1.197 0.711 6.704 -1.423" Properties=species:S:1:pos:R:3 pbc="T T T"
Sm 3.929 3.693 2.919
Sm 3.581 0.406 3.616
Co 6.253 1.945 2.609
Co 1.995 2.131 1.399
Co 4.464 1.750 0.799
Co 2.296 4.970 0.796
Fe 5.672 -0.236 1.617
Fe 2.847 -0.111 0.797
Fe 6.554 4.778 2.008
Fe 4.764 4.583 0.198
B 6.040 3.068 0.899
B 3.181 3.203 0.111
```

Summary:
**DFT formation energy**: -241 meV/atom
**Density**: 8.3 Mg/m³
**Magnetization**: 5.5 μB per formula unit
**SG**: Cmm2

3.
A relaxed YFeCo3B crystal, computed with PBE.

extended XYZ file:
```
12
Lattice="5.035 0.000 0.000 -2.517 4.360 0.000 0.000 0.000 6.825" Properties=species:S:1:pos:R:3 pbc="T T T"
Fe 2.517 1.453 0.000
Fe 0.000 2.907 0.000
B 0.000 2.907 3.413
B 2.517 1.453 3.413
Co -1.259 2.180 4.873
Co 1.259 2.180 1.952
Co 1.259 2.180 4.873
Co -1.259 2.180 1.952
Co 2.517 0.000 4.873
Co 2.517 0.000 1.952
Y 0.000 0.000 0.000
Y 0.000 0.000 3.413
```

Summary:
**DFT formation energy**: -319 meV/atom
**Density**: 7.4 Mg/m³
**Magnetization**: 4.4 μB per formula unit
**SG**: P6/mmm

4.
A relaxed GdCo4B crystal, computed with PBE.

extended XYZ file:
```
12
Lattice="-0.618 1.947 4.604 -1.669 -4.642 -1.016 6.015 -2.578 1.897" Properties=species:S:1:pos:R:3 pbc="T T T"
Co 3.969 -0.860 3.651
Co -1.319 -2.446 0.857
Co 0.902 -3.066 0.040
Co 3.134 -3.181 3.143
Co 0.594 -2.092 2.342
Co -0.968 -0.250 2.731
Co 3.443 -4.155 0.841
Co 1.428 0.229 2.850
Gd 3.007 -1.289 0.948
Gd 0.000 0.000 0.000
B 2.039 -1.539 3.679
B 1.689 -3.735 1.806
```

Summary:
**DFT formation energy**: -277 meV/atom
**Density**: 9.0 Mg/m³
**SG**: P6/mmm

Please write out number 1 again, unchanged.
A relaxed Fe4CoSiB2 crystal, computed with PBE.

extended XYZ file:
```
16
Lattice="5.475 0.000 0.000 0.000 5.475 0.000 -2.738 -2.738 5.145" Properties=species:S:1:pos:R:3 pbc="T T T"
B 2.075 4.813 0.000
B 0.663 2.075 0.000
B 3.400 0.663 0.000
B 4.813 3.400 0.000
Fe 0.909 1.829 3.736
Fe 3.647 4.566 1.409
Fe 1.829 -0.909 3.736
Fe 1.829 0.909 1.409
Fe -1.829 0.909 3.736
Fe 4.566 1.829 1.409
Fe 0.909 3.647 1.409
Fe -0.909 -1.829 3.736
Co 0.000 0.000 0.000
Co 2.738 2.738 0.000
Si 0.000 0.000 2.573
Si 2.738 2.738 2.573
```

Summary:
**DFT formation energy**: -338 meV/atom
**Density**: 7.1 Mg/m³
**Magnetization**: 7.1 μB per formula unit
**SG**: I4/mcm

> The lowest density belongs to which entry?

Fe4CoSiB2

Copy entry 1 word for word.
A relaxed Fe4CoSiB2 crystal, computed with PBE.

extended XYZ file:
```
16
Lattice="5.475 0.000 0.000 0.000 5.475 0.000 -2.738 -2.738 5.145" Properties=species:S:1:pos:R:3 pbc="T T T"
B 2.075 4.813 0.000
B 0.663 2.075 0.000
B 3.400 0.663 0.000
B 4.813 3.400 0.000
Fe 0.909 1.829 3.736
Fe 3.647 4.566 1.409
Fe 1.829 -0.909 3.736
Fe 1.829 0.909 1.409
Fe -1.829 0.909 3.736
Fe 4.566 1.829 1.409
Fe 0.909 3.647 1.409
Fe -0.909 -1.829 3.736
Co 0.000 0.000 0.000
Co 2.738 2.738 0.000
Si 0.000 0.000 2.573
Si 2.738 2.738 2.573
```

Summary:
**DFT formation energy**: -338 meV/atom
**Density**: 7.1 Mg/m³
**Magnetization**: 7.1 μB per formula unit
**SG**: I4/mcm

Copy entry 3 word for word.
A relaxed YFeCo3B crystal, computed with PBE.

extended XYZ file:
```
12
Lattice="5.035 0.000 0.000 -2.517 4.360 0.000 0.000 0.000 6.825" Properties=species:S:1:pos:R:3 pbc="T T T"
Fe 2.517 1.453 0.000
Fe 0.000 2.907 0.000
B 0.000 2.907 3.413
B 2.517 1.453 3.413
Co -1.259 2.180 4.873
Co 1.259 2.180 1.952
Co 1.259 2.180 4.873
Co -1.259 2.180 1.952
Co 2.517 0.000 4.873
Co 2.517 0.000 1.952
Y 0.000 0.000 0.000
Y 0.000 0.000 3.413
```

Summary:
**DFT formation energy**: -319 meV/atom
**Density**: 7.4 Mg/m³
**Magnetization**: 4.4 μB per formula unit
**SG**: P6/mmm